# 1
{"formula": "Li9Mn2Co5O16", "functional": "PBE+U", "state": "optimized geometry", "lattice": [[3.022, 0.000, 0.000], [0.504, 9.899, 0.000], [1.329, 2.834, 9.733]], "species": ["O", "Li", "Li", "O", "O", "O", "Co", "O", "O", "Li", "O", "Li", "Co", "O", "Co", "Li", "O", "O", "Li", "Li", "O", "O", "O", "Mn", "Li", "O", "Co", "O", "O", "Li", "Co", "Mn"], "fractional_positions": [[0.065, 0.982, 0.812], [0.063, 0.318, 0.875], [0.184, 0.938, 0.625], [0.435, 0.849, 0.066], [0.192, 0.273, 0.681], [0.219, 0.601, 0.575], [0.630, 0.127, 0.747], [0.782, 0.398, 0.426], [0.426, 0.518, 0.192], [0.816, 0.064, 0.375], [0.562, 0.153, 0.929], [0.500, 0.500, 0.000], [0.880, 0.381, 0.241], [0.938, 0.024, 0.183], [0.120, 0.618, 0.760], [0.937, 0.681, 0.123], [0.312, 0.229, 0.317], [0.276, 0.898, 0.435], [0.684, 0.439, 0.626], [0.560, 0.810, 0.872], [0.046, 0.657, 0.917], [0.725, 0.103, 0.567], [0.955, 0.344, 0.083], [0.001, 0.002, 0.997], [0.440, 0.191, 0.128], [0.576, 0.481, 0.808], [0.743, 0.748, 0.506], [0.807, 0.723, 0.323], [0.687, 0.771, 0.684], [0.316, 0.560, 0.374], [0.253, 0.249, 0.498], [0.370, 0.873, 0.252]], "magmom_total_mub_per_fu": 14.00, "e_above_lowest_polymorph_kj_per_mol_atoms": 7.3, "e_form_mev_per_atom": -1788, "final_energy_ev_per_cell": -184.93}

---

# 2
{"formula": "Li4V2P3O12", "functional": "PBE+U", "state": "optimized geometry", "lattice": [[4.561, 7.565, 0.000], [-4.561, 7.565, 0.000], [0.000, 4.815, 7.155]], "species": ["Li", "P", "P", "P", "V", "O", "Li", "V", "O", "Li", "O", "O", "O", "Li", "O", "Li", "V", "O", "O", "O", "O", "O", "O", "O", "O", "O", "O", "P", "Li", "O", "V", "O", "Li", "O", "P", "Li", "O", "P", "O", "O", "O", "O"], "fractional_positions": [[0.427, 0.807, 0.701], [0.035, 0.965, 0.750], [0.260, 0.446, 0.539], [0.446, 0.260, 0.039], [0.860, 0.360, 0.855], [0.570, 0.727, 0.469], [0.791, 0.794, 0.048], [0.360, 0.860, 0.355], [0.297, 0.615, 0.507], [0.193, 0.573, 0.799], [0.812, 0.532, 0.604], [0.778, 0.059, 0.410], [0.468, 0.188, 0.896], [0.807, 0.427, 0.201], [0.727, 0.570, 0.969], [0.209, 0.206, 0.952], [0.640, 0.140, 0.645], [0.941, 0.222, 0.090], [0.121, 0.409, 0.744], [0.615, 0.297, 0.007], [0.273, 0.430, 0.031], [0.532, 0.812, 0.104], [0.430, 0.273, 0.531], [0.222, 0.941, 0.590], [0.130, 0.013, 0.284], [0.059, 0.778, 0.910], [0.703, 0.385, 0.493], [0.740, 0.554, 0.461], [0.206, 0.209, 0.452], [0.879, 0.591, 0.256], [0.140, 0.640, 0.145], [0.591, 0.879, 0.756], [0.573, 0.193, 0.299], [0.870, 0.987, 0.716], [0.554, 0.740, 0.961], [0.794, 0.791, 0.548], [0.409, 0.121, 0.244], [0.965, 0.035, 0.250], [0.385, 0.703, 0.993], [0.987, 0.870, 0.216], [0.013, 0.130, 0.784], [0.188, 0.468, 0.396]], "magmom_total_mub_per_fu": 5.00, "e_above_lowest_polymorph_kj_per_mol_atoms": 4.0, "e_form_mev_per_atom": -2642, "final_energy_ev_per_cell": -290.51}

---

# 3
{"formula": "CsFeP2O7", "functional": "PBE+U", "state": "optimized geometry", "lattice": [[10.113, 0.000, 0.000], [0.000, 7.809, 0.000], [0.000, 2.199, 8.226]], "species": ["O", "P", "Fe", "Fe", "O", "P", "O", "O", "O", "O", "Cs", "O", "P", "O", "O", "O", "O", "O", "O", "P", "O", "P", "O", "O", "O", "P", "Cs", "O", "O", "O", "O", "O", "O", "Cs", "Cs", "Fe", "O", "P", "O", "Fe", "O", "O", "P", "O"], "fractional_positions": [[0.400, 0.180, 0.006], [0.593, 0.631, 0.666], [0.101, 0.259, 0.258], [0.601, 0.741, 0.242], [0.229, 0.068, 0.232], [0.375, 0.078, 0.181], [0.999, 0.486, 0.265], [0.771, 0.932, 0.768], [0.501, 0.486, 0.765], [0.001, 0.514, 0.735], [0.794, 0.302, 0.538], [0.046, 0.186, 0.793], [0.407, 0.369, 0.334], [0.235, 0.407, 0.770], [0.454, 0.186, 0.293], [0.066, 0.891, 0.729], [0.100, 0.180, 0.506], [0.765, 0.593, 0.230], [0.600, 0.820, 0.994], [0.875, 0.922, 0.319], [0.081, 0.340, 0.016], [0.907, 0.631, 0.166], [0.581, 0.660, 0.484], [0.900, 0.820, 0.494], [0.499, 0.514, 0.235], [0.625, 0.922, 0.819], [0.706, 0.302, 0.038], [0.271, 0.068, 0.732], [0.735, 0.593, 0.730], [0.919, 0.660, 0.984], [0.954, 0.814, 0.207], [0.566, 0.109, 0.771], [0.729, 0.932, 0.268], [0.294, 0.698, 0.962], [0.206, 0.698, 0.462], [0.399, 0.259, 0.758], [0.934, 0.109, 0.271], [0.093, 0.369, 0.834], [0.419, 0.340, 0.516], [0.899, 0.741, 0.742], [0.434, 0.891, 0.229], [0.265, 0.407, 0.270], [0.125, 0.078, 0.681], [0.546, 0.814, 0.707]], "magmom_total_mub_per_fu": 5.00, "e_form_mev_per_atom": -2527, "final_energy_ev_per_cell": -302.22}

---

# 4
{"formula": "LiCoCO4", "functional": "PBE+U", "state": "optimized geometry", "lattice": [[-7.411, -3.599, 1.313], [5.274, -3.002, -5.726], [2.383, -3.447, 4.002]], "species": ["O", "O", "O", "O", "O", "O", "Co", "Co", "O", "O", "Li", "Li", "C", "O", "O", "O", "Co", "O", "O", "O", "Li", "C", "Co", "C", "Li", "O", "O", "C"], "fractional_positions": [[0.458, 0.207, 0.214], [0.542, 0.793, 0.214], [0.080, 0.182, 0.538], [0.283, 0.838, 0.502], [0.177, 0.436, 0.321], [0.818, 0.920, 0.038], [0.304, 0.724, 0.767], [0.276, 0.696, 0.267], [0.717, 0.162, 0.502], [0.162, 0.717, 0.002], [0.792, 0.965, 0.500], [0.208, 0.035, 0.500], [0.358, 0.155, 0.025], [0.182, 0.080, 0.038], [0.436, 0.177, 0.821], [0.793, 0.542, 0.714], [0.696, 0.276, 0.767], [0.920, 0.818, 0.538], [0.823, 0.564, 0.321], [0.838, 0.283, 0.002], [0.035, 0.208, 0.000], [0.642, 0.845, 0.025], [0.724, 0.304, 0.267], [0.845, 0.642, 0.525], [0.965, 0.792, 0.000], [0.564, 0.823, 0.821], [0.207, 0.458, 0.714], [0.155, 0.358, 0.525]], "magmom_total_mub_per_fu": 4.00, "e_above_lowest_polymorph_kj_per_mol_atoms": 2.4, "e_form_mev_per_atom": -1695, "final_energy_ev_per_cell": -182.06}